This record from the Materials Project describes a geometry-optimized LiCoH8C2O10 structure. The functional is GGA+U.

Cell lengths 5.3914, 5.3914, 15.2813 Å; angles 81.55, 81.55, 77.73 degrees
Fractional coordinates of all 44 atoms:
O 0.3037 0.0202 0.6863
O 0.6967 0.9914 0.3099
O 0.9104 0.4601 0.7088
O 0.4019 0.6649 0.9132
O 0.9914 0.6967 0.8099
O 0.6649 0.4019 0.4132
O 0.2062 0.0993 0.0148
O 0.7671 0.8231 0.0030
O 0.8231 0.7671 0.5030
O 0.2761 0.9838 0.3426
O 0.9838 0.2761 0.8426
O 0.0202 0.3037 0.1863
O 0.7218 0.0416 0.6544
O 0.0993 0.2062 0.5148
O 0.5428 0.0732 0.7916
O 0.4041 0.5541 0.6080
O 0.5541 0.4041 0.1080
O 0.0416 0.7218 0.1544
O 0.4601 0.9104 0.2088
O 0.0732 0.5428 0.2916
H 0.3825 0.7270 0.6244
H 0.4496 0.8129 0.8733
H 0.1356 0.1697 0.9586
H 0.8578 0.7741 0.9459
H 0.2711 0.6185 0.8842
H 0.7741 0.8578 0.4459
H 0.8957 0.8204 0.0421
H 0.6185 0.2711 0.3842
H 0.2278 0.1447 0.5559
H 0.8129 0.4496 0.3733
H 0.5273 0.2307 0.1088
H 0.8204 0.8957 0.5421
H 0.1697 0.1356 0.4586
H 0.1447 0.2278 0.0559
H 0.2307 0.5273 0.6088
H 0.7270 0.3825 0.1244
C 0.9613 0.4841 0.7869
C 0.5156 0.0462 0.7110
C 0.0462 0.5156 0.2110
C 0.4841 0.9613 0.2869
Li 0.7363 0.4294 0.5352
Li 0.4294 0.7363 0.0352
Co 0.0624 0.9392 0.2501
Co 0.9392 0.0624 0.7501

Calculated values
energy of formation from the pure elements: -1.45 eV per atom
crystal system: monoclinic

This record from the Materials Project describes a geometry-optimized Li3Ni2Ge3O12 structure. The functional is GGA+U.

Cell lengths 10.2635, 10.2635, 10.2635 Å; angles 109.47, 109.47, 109.47 degrees
Fractional coordinates of all 80 atoms:
Li 0.1250 0.2500 0.3750
Li 0.3750 0.1250 0.2500
Li 0.2500 0.3750 0.1250
Li 0.6250 0.8750 0.7500
Li 0.8750 0.7500 0.6250
Li 0.6250 0.2500 0.8750
Li 0.8750 0.6250 0.2500
Li 0.7500 0.1250 0.3750
Li 0.2500 0.8750 0.6250
Li 0.7500 0.6250 0.8750
Li 0.1250 0.3750 0.7500
Li 0.3750 0.7500 0.1250
O 0.8242 0.8012 0.4205
O 0.0963 0.6193 0.4205
O 0.8807 0.9770 0.8012
O 0.8012 0.4205 0.8242
O 0.6988 0.6758 0.0795
O 0.0963 0.9770 0.6758
O 0.1988 0.5795 0.1758
O 0.9770 0.6758 0.0963
O 0.0230 0.1988 0.1193
O 0.8807 0.4037 0.0795
O 0.6758 0.0795 0.6988
O 0.1758 0.4770 0.5963
O 0.8242 0.5230 0.4037
O 0.6193 0.4205 0.0963
O 0.6758 0.0963 0.9770
O 0.4037 0.8242 0.5230
O 0.5795 0.1758 0.1988
O 0.0795 0.6988 0.6758
O 0.9205 0.3012 0.3242
O 0.0795 0.8807 0.4037
O 0.1193 0.0230 0.1988
O 0.3012 0.3242 0.9205
O 0.1193 0.5963 0.9205
O 0.1988 0.1193 0.0230
O 0.5963 0.9205 0.1193
O 0.9770 0.8012 0.8807
O 0.4205 0.0963 0.6193
O 0.4770 0.5963 0.1758
O 0.6193 0.6988 0.5230
O 0.5963 0.1758 0.4770
O 0.3242 0.9205 0.3012
O 0.3807 0.3012 0.4770
O 0.6988 0.5230 0.6193
O 0.3807 0.5795 0.9037
O 0.9037 0.3807 0.5795
O 0.8012 0.8807 0.9770
O 0.3012 0.4770 0.3807
O 0.4205 0.8242 0.8012
O 0.1758 0.1988 0.5795
O 0.0230 0.3242 0.9037
O 0.9205 0.1193 0.5963
O 0.4770 0.3807 0.3012
O 0.9037 0.0230 0.3242
O 0.5230 0.6193 0.6988
O 0.5795 0.9037 0.3807
O 0.4037 0.0795 0.8807
O 0.3242 0.9037 0.0230
O 0.5230 0.4037 0.8242
Ge 0.8750 0.2500 0.1250
Ge 0.3750 0.2500 0.6250
Ge 0.2500 0.6250 0.3750
Ge 0.8750 0.1250 0.7500
Ge 0.3750 0.6250 0.7500
Ge 0.6250 0.7500 0.3750
Ge 0.7500 0.8750 0.1250
Ge 0.7500 0.3750 0.6250
Ge 0.6250 0.3750 0.2500
Ge 0.1250 0.8750 0.2500
Ge 0.1250 0.7500 0.8750
Ge 0.2500 0.1250 0.8750
Ni 0.5000 0.0000 0.0000
Ni 0.5000 0.5000 0.0000
Ni 0.5000 0.5000 0.5000
Ni 0.0000 0.0000 0.5000
Ni 0.0000 0.5000 0.0000
Ni 0.5000 0.0000 0.5000
Ni 0.0000 0.5000 0.5000
Ni 0.0000 0.0000 0.0000

Calculated values
energy of formation from the pure elements: -1.59 eV per atom
crystal system: cubic

This record from the Materials Project describes a geometry-optimized CaLaCrBiO6 structure. The functional is GGA+U.

Cell lengths 5.8811, 5.6843, 9.9010 Å; angles 55.85, 90.00, 90.00 degrees
Fractional coordinates of all 20 atoms:
O 0.7057 0.6496 0.2330
O 0.0364 0.1168 0.0638
O 0.9636 0.1168 0.5638
O 0.4639 0.8844 0.9360
O 0.9381 0.7771 0.9384
O 0.0619 0.7771 0.4384
O 0.2008 0.3478 0.2668
O 0.5633 0.2257 0.0611
O 0.4367 0.2257 0.5611
O 0.2943 0.6496 0.7330
O 0.5361 0.8844 0.4360
O 0.7992 0.3478 0.7668
Bi 0.7532 0.5011 0.4988
Bi 0.2468 0.5011 0.9988
Ca 0.1934 0.2288 0.7526
Ca 0.8066 0.2288 0.2526
La 0.3060 0.7680 0.2491
La 0.6940 0.7680 0.7491
Cr 0.2491 0.0005 0.5004
Cr 0.7509 0.0005 0.0004

Calculated values
energy of formation from the pure elements: -2.54 eV per atom
ΔE to the lowest computed polymorph: 0 meV per atom
crystal system: monoclinic

This record from the Materials Project describes a geometry-optimized MnNi3O4 structure. The functional is GGA+U.

Cell lengths 5.2467, 5.2467, 3.0491 Å; angles 90.00, 90.00, 109.58 degrees
Fractional coordinates of all 8 atoms:
O 0.2444 0.7556 0.0000
O 0.2401 0.2401 0.5000
O 0.7599 0.7599 0.5000
O 0.7556 0.2444 0.0000
Ni 0.0000 0.5000 0.5000
Ni 0.0000 0.0000 0.0000
Ni 0.5000 0.0000 0.5000
Mn 0.5000 0.5000 0.0000

Calculated values
energy of formation from the pure elements: -1.36 eV per atom
ΔE to the lowest computed polymorph: 0 meV per atom
crystal system: orthorhombic

This record from the Materials Project describes a geometry-optimized MgFe4P12O36 structure. The functional is GGA+U.

Cell lengths 8.7352, 8.6753, 8.8083 Å; angles 89.34, 90.42, 91.37 degrees
Fractional coordinates of all 53 atoms:
O 0.8564 0.0273 0.7561
O 0.8747 0.3144 0.8096
O 0.6012 0.9035 0.6932
O 0.7219 0.5749 0.8372
O 0.0536 0.1904 0.6356
O 0.5864 0.3901 0.0978
O 0.1532 0.8217 0.6364
O 0.5258 0.2681 0.3516
O 0.8975 0.8834 0.3835
O 0.4517 0.7887 0.1488
O 0.9043 0.1087 0.1916
O 0.1935 0.9219 0.1273
O 0.9276 0.6360 0.5850
O 0.6526 0.9624 0.2420
O 0.2230 0.6388 0.0586
O 0.4302 0.8815 0.4209
O 0.0788 0.1307 0.9200
O 0.4014 0.6266 0.6225
O 0.9752 0.7323 0.8491
O 0.7350 0.8462 0.9442
O 0.1742 0.1650 0.3835
O 0.7590 0.1265 0.4436
O 0.1036 0.5912 0.3190
O 0.3577 0.1988 0.1287
O 0.1493 0.5436 0.7425
O 0.3875 0.4095 0.8257
O 0.3250 0.0871 0.6292
O 0.6221 0.1042 0.9085
O 0.6242 0.3061 0.6166
O 0.1052 0.3757 0.1197
O 0.8571 0.6364 0.0934
O 0.6344 0.6866 0.3480
O 0.2740 0.3674 0.5613
O 0.3440 0.8381 0.8880
O 0.3521 0.4663 0.2491
O 0.7870 0.4155 0.4139
P 0.6748 0.2859 0.4532
P 0.1827 0.5147 0.1913
P 0.5406 0.8223 0.3049
P 0.2143 0.1895 0.5469
P 0.6906 0.9765 0.8221
P 0.9697 0.1719 0.7955
P 0.8171 0.6832 0.9367
P 0.4564 0.3284 0.1913
P 0.8177 0.0143 0.3098
P 0.0528 0.6914 0.6916
P 0.3174 0.4895 0.6920
P 0.2980 0.8114 0.0502
Fe 0.6003 0.3323 0.8745
Fe 0.3809 0.8618 0.6449
Fe 0.8718 0.6471 0.3309
Fe 0.1322 0.1453 0.1468
Mg 0.7960 0.4671 0.6532

Calculated values
energy of formation from the pure elements: -2.49 eV per atom
ΔE to the lowest computed polymorph: 22 meV per atom
crystal system: triclinic

This record from the Materials Project describes a geometry-optimized Sr2CoSe2Cl2O6 structure. The functional is GGA+U.

Cell lengths 6.5115, 12.5525, 10.8490 Å; angles 92.89, 90.00, 90.00 degrees
Fractional coordinates of all 52 atoms:
O 0.6238 0.1205 0.8724
O 0.1238 0.3795 0.3776
O 0.0722 0.8220 0.9704
O 0.5722 0.6780 0.2796
O 0.1238 0.3795 0.8776
O 0.4228 0.8945 0.3885
O 0.3762 0.8795 0.1276
O 0.4228 0.8945 0.8885
O 0.0772 0.3945 0.1385
O 0.4278 0.3220 0.2204
O 0.0722 0.8220 0.4704
O 0.9228 0.6055 0.3615
O 0.9278 0.1780 0.5296
O 0.9228 0.6055 0.8615
O 0.4278 0.3220 0.7204
O 0.5772 0.1055 0.1115
O 0.3762 0.8795 0.6276
O 0.5772 0.1055 0.6115
O 0.8762 0.6205 0.6224
O 0.6238 0.1205 0.3724
O 0.8762 0.6205 0.1224
O 0.5722 0.6780 0.7796
O 0.0772 0.3945 0.6385
O 0.9278 0.1780 0.0296
Se 0.2375 0.9250 0.0026
Se 0.7625 0.0750 0.9974
Se 0.2625 0.4250 0.2526
Se 0.7375 0.5750 0.2474
Se 0.2375 0.9250 0.5026
Se 0.7625 0.0750 0.4974
Se 0.2625 0.4250 0.7526
Se 0.7375 0.5750 0.7474
Cl 0.6736 0.3943 0.4771
Cl 0.8264 0.8943 0.7271
Cl 0.3264 0.6057 0.0229
Cl 0.8264 0.8943 0.2271
Cl 0.1736 0.1057 0.7729
Cl 0.3264 0.6057 0.5229
Cl 0.1736 0.1057 0.2729
Cl 0.6736 0.3943 0.9771
Sr 0.7008 0.7658 0.9936
Sr 0.2008 0.7342 0.7564
Sr 0.2008 0.7342 0.2564
Sr 0.2992 0.2342 0.5064
Sr 0.7992 0.2658 0.2436
Sr 0.7008 0.7658 0.4936
Sr 0.2992 0.2342 0.0064
Sr 0.7992 0.2658 0.7436
Co 0.0000 0.5000 0.0000
Co 0.0000 0.5000 0.5000
Co 0.5000 0.0000 0.7500
Co 0.5000 0.0000 0.2500

Calculated values
energy of formation from the pure elements: -1.99 eV per atom

This record from the Materials Project describes a geometry-optimized Mg11Fe30O56 structure. The functional is GGA+U.

Cell lengths 6.0195, 6.0241, 34.5863 Å; angles 85.08, 85.02, 60.03 degrees
Fractional coordinates of all 97 atoms:
O 0.0456 0.5464 0.8932
O 0.8103 0.8439 0.5357
O 0.1896 0.1564 0.4644
O 0.6612 0.6823 0.4649
O 0.0902 0.1097 0.1789
O 0.9038 0.8708 0.3214
O 0.7553 0.2431 0.2471
O 0.5351 0.0356 0.8940
O 0.0530 0.0320 0.3923
O 0.9106 0.8899 0.8210
O 0.9500 0.9835 0.1072
O 0.3755 0.3970 0.3219
O 0.8068 0.3255 0.0438
O 0.5150 0.5467 0.8932
O 0.3387 0.3171 0.5355
O 0.4697 0.9630 0.1036
O 0.6736 0.1857 0.4672
O 0.8076 0.8279 0.0367
O 0.1917 0.6822 0.4648
O 0.3879 0.9000 0.3242
O 0.3262 0.8144 0.5332
O 0.4758 0.4408 0.6075
O 0.7676 0.7455 0.2496
O 0.4768 0.4569 0.1073
O 0.3815 0.4155 0.8217
O 0.9514 0.4583 0.1076
O 0.4767 0.9672 0.6078
O 0.3787 0.8899 0.8210
O 0.2375 0.7456 0.2496
O 0.1814 0.6783 0.9606
O 0.9598 0.4703 0.6101
O 0.2450 0.7570 0.7529
O 0.3341 0.8278 0.0361
O 0.2389 0.2721 0.2499
O 0.1016 0.6132 0.1819
O 0.8972 0.3856 0.8198
O 0.0943 0.6043 0.6782
O 0.6645 0.7123 0.9610
O 0.6233 0.6042 0.6782
O 0.6201 0.1101 0.1792
O 0.9056 0.3969 0.3219
O 0.2155 0.1614 0.9611
O 0.2326 0.2544 0.7508
O 0.8087 0.3172 0.5355
O 0.9481 0.9674 0.6078
O 0.6642 0.1614 0.9608
O 0.7608 0.7278 0.7506
O 0.5227 0.0320 0.3923
O 0.6115 0.1011 0.6759
O 0.0469 0.0135 0.8936
O 0.0952 0.1310 0.6786
O 0.6169 0.5860 0.1784
O 0.3340 0.3025 0.0360
O 0.0405 0.5290 0.3899
O 0.5246 0.5582 0.3927
O 0.7621 0.2543 0.7508
Fe 0.8760 0.3722 0.8760
Fe 0.7380 0.2215 0.3025
Fe 0.3617 0.8587 0.9304
Fe 0.5017 0.0005 0.9973
Fe 0.7859 0.7852 0.6429
Fe 0.3094 0.7928 0.5886
Fe 0.0707 0.0728 0.7858
Fe 0.1698 0.6565 0.0173
Fe 0.4524 0.9369 0.1594
Fe 0.5947 0.0791 0.7312
Fe 0.9277 0.4301 0.7146
Fe 0.0237 0.5069 0.4455
Fe 0.1149 0.6313 0.1264
Fe 0.9290 0.9277 0.2143
Fe 0.0713 0.5715 0.2856
Fe 0.6905 0.2076 0.4115
Fe 0.5495 0.0623 0.8386
Fe 0.2146 0.7138 0.8574
Fe 0.6451 0.1484 0.0697
Fe 0.6433 0.1421 0.5714
Fe 0.7856 0.2862 0.1428
Fe 0.5000 0.4998 0.5002
Fe 0.2141 0.2150 0.3569
Fe 0.3571 0.8572 0.4285
Fe 0.2620 0.7786 0.6974
Fe 0.9762 0.4931 0.5545
Fe 0.6452 0.6378 0.0699
Fe 0.4052 0.9215 0.2687
Fe 0.8505 0.8587 0.9304
Fe 0.3614 0.3480 0.9304
Mg 0.2854 0.2859 0.6429
Mg 0.1406 0.1451 0.0701
Mg 0.7857 0.2859 0.6429
Mg 0.5717 0.5708 0.7862
Mg 0.7143 0.7145 0.3570
Mg 0.9284 0.4284 0.2142
Mg 0.0713 0.5707 0.7862
Mg 0.2142 0.7145 0.3570
Mg 0.4995 0.0003 0.5000
Mg 0.0002 0.0003 0.5000
Mg 0.4286 0.4285 0.2143

Calculated values
energy of formation from the pure elements: -1.96 eV per atom
crystal system: triclinic

This record from the Materials Project describes a geometry-optimized SrPr2Mn3O9 structure. The functional is GGA+U.

Cell lengths 5.5673, 5.5673, 13.4459 Å; angles 89.69, 89.69, 60.41 degrees
Fractional coordinates of all 30 atoms:
O 0.7442 0.5929 0.4198
O 0.0580 0.9420 0.7500
O 0.2558 0.4071 0.5802
O 0.2788 0.8254 0.0867
O 0.1746 0.7212 0.4133
O 0.3836 0.8529 0.5720
O 0.1471 0.6164 0.9280
O 0.6164 0.1471 0.4280
O 0.5231 0.0225 0.7405
O 0.4071 0.2558 0.0802
O 0.8529 0.3836 0.0720
O 0.8254 0.2788 0.5867
O 0.0225 0.5231 0.2405
O 0.9775 0.4769 0.7595
O 0.5929 0.7442 0.9198
O 0.9420 0.0580 0.2500
O 0.4769 0.9775 0.2595
O 0.7212 0.1746 0.9133
Pr 0.8280 0.8396 0.5840
Pr 0.1604 0.1720 0.9160
Pr 0.8396 0.8280 0.0840
Pr 0.1720 0.1604 0.4160
Mn 0.1691 0.1646 0.6671
Mn 0.1646 0.1691 0.1671
Mn 0.8309 0.8354 0.3329
Mn 0.5000 0.5000 0.5000
Mn 0.8354 0.8309 0.8329
Mn 0.5000 0.5000 0.0000
Sr 0.4932 0.5068 0.2500
Sr 0.5068 0.4932 0.7500

Calculated values
energy of formation from the pure elements: -2.81 eV per atom
crystal system: monoclinic